Entry 1:
The following is a DFT calculation (PBE+U) of crystalline Ti3Fe2P6WO24 at its relaxed geometry.

## Properties
VASP energy   -7.712 eV/atom
ΔH_f (0 K)   -62.95 kcal/mol of atoms
Theoretical density   3.6 g/cm³

POSCAR file:
```
Ti3Fe2P6WO24
1.0
7.437 -4.373 0.000
7.437 4.373 0.000
4.866 0.000 7.124
O Fe P Ti W
24 2 6 3 1
Direct
0.000 0.814 0.617 O
0.266 0.052 0.896 O
0.673 0.513 0.886 O
0.814 0.617 0.000 O
0.314 0.499 0.118 O
0.942 0.091 0.742 O
0.449 0.239 0.585 O
0.742 0.942 0.091 O
0.568 0.760 0.413 O
0.189 0.397 0.983 O
0.617 0.000 0.814 O
0.413 0.568 0.760 O
0.118 0.314 0.499 O
0.499 0.118 0.314 O
0.513 0.886 0.673 O
0.983 0.189 0.397 O
0.397 0.983 0.189 O
0.052 0.896 0.266 O
0.896 0.266 0.052 O
0.585 0.449 0.239 O
0.091 0.742 0.942 O
0.239 0.585 0.449 O
0.760 0.413 0.568 O
0.886 0.673 0.513 O
0.501 0.501 0.501 Fe
0.998 0.998 0.998 Fe
0.044 0.743 0.462 P
0.462 0.044 0.743 P
0.954 0.251 0.548 P
0.743 0.462 0.044 P
0.548 0.954 0.251 P
0.251 0.548 0.954 P
0.355 0.355 0.355 Ti
0.856 0.856 0.856 Ti
0.645 0.645 0.645 Ti
0.140 0.140 0.140 W
```

Entry 2:
The following is a DFT calculation (PBE+U) of crystalline TiZnFeP3O12 at its relaxed geometry.

## Properties
VASP energy   -7.225 eV/atom
ΔH_f (0 K)   -60.62 kcal/mol of atoms
Theoretical density   3.4 g/cm³

POSCAR file:
```
TiZnFeP3O12
1.0
7.389 -4.309 0.000
7.389 4.309 0.000
4.876 0.000 7.028
O Zn Ti P Fe
24 2 2 6 2
Direct
0.090 0.740 0.938 O
0.380 0.003 0.188 O
0.610 0.004 0.819 O
0.688 0.503 0.880 O
0.590 0.438 0.240 O
0.110 0.319 0.504 O
0.880 0.688 0.503 O
0.003 0.188 0.380 O
0.503 0.880 0.688 O
0.004 0.819 0.610 O
0.740 0.938 0.090 O
0.319 0.504 0.110 O
0.938 0.090 0.740 O
0.914 0.258 0.055 O
0.819 0.610 0.004 O
0.758 0.414 0.555 O
0.555 0.758 0.414 O
0.438 0.240 0.590 O
0.414 0.555 0.758 O
0.055 0.914 0.258 O
0.258 0.055 0.914 O
0.188 0.380 0.003 O
0.504 0.110 0.319 O
0.240 0.590 0.438 O
0.498 0.498 0.498 Zn
0.998 0.998 0.998 Zn
0.645 0.645 0.645 Ti
0.145 0.145 0.145 Ti
0.955 0.252 0.546 P
0.252 0.546 0.955 P
0.455 0.046 0.752 P
0.046 0.752 0.455 P
0.546 0.955 0.252 P
0.752 0.455 0.046 P
0.355 0.355 0.355 Fe
0.855 0.855 0.855 Fe
```

Entry 3:
The following is a DFT calculation (PBE+U) of crystalline V3FeP6O24 at its relaxed geometry.

## Properties
VASP energy   -7.271 eV/atom
ΔH_f (0 K)   -57.05 kcal/mol of atoms
Theoretical density   2.8 g/cm³

POSCAR file:
```
V3FeP6O24
1.0
7.641 -4.271 0.000
7.641 4.271 0.000
5.254 0.000 7.001
O V P Fe
24 3 6 1
Direct
0.063 0.282 0.927 O
0.773 0.016 0.634 O
0.355 0.225 0.996 O
0.139 0.495 0.290 O
0.858 0.494 0.722 O
0.556 0.433 0.787 O
0.576 0.216 0.427 O
0.942 0.713 0.083 O
0.433 0.787 0.556 O
0.016 0.634 0.773 O
0.290 0.139 0.495 O
0.787 0.556 0.433 O
0.282 0.927 0.063 O
0.713 0.083 0.942 O
0.427 0.576 0.216 O
0.996 0.355 0.225 O
0.634 0.773 0.016 O
0.216 0.427 0.576 O
0.927 0.063 0.282 O
0.722 0.858 0.494 O
0.225 0.996 0.355 O
0.083 0.942 0.713 O
0.495 0.290 0.139 O
0.494 0.722 0.858 O
0.639 0.639 0.639 V
0.359 0.359 0.359 V
0.140 0.140 0.140 V
0.467 0.750 0.032 P
0.250 0.969 0.531 P
0.750 0.032 0.467 P
0.032 0.467 0.750 P
0.969 0.531 0.250 P
0.531 0.250 0.969 P
0.859 0.859 0.859 Fe
```

Entry 4:
The following is a DFT calculation (PBE+U) of crystalline V2FeP3O12 at its relaxed geometry.

## Properties
VASP energy   -7.456 eV/atom
ΔH_f (0 K)   -58.76 kcal/mol of atoms
Theoretical density   3.3 g/cm³

POSCAR file:
```
V2FeP3O12
1.0
7.376 -4.325 0.000
7.376 4.325 0.000
4.841 0.000 7.049
P O V Fe
6 24 4 2
Direct
0.042 0.750 0.458 P
0.542 0.958 0.250 P
0.458 0.042 0.750 P
0.750 0.458 0.042 P
0.958 0.250 0.542 P
0.250 0.542 0.958 P
0.005 0.809 0.619 O
0.058 0.913 0.263 O
0.913 0.263 0.058 O
0.505 0.119 0.309 O
0.191 0.381 0.995 O
0.619 0.005 0.809 O
0.558 0.763 0.413 O
0.881 0.691 0.495 O
0.691 0.495 0.881 O
0.413 0.558 0.763 O
0.763 0.413 0.558 O
0.119 0.309 0.505 O
0.309 0.505 0.119 O
0.495 0.881 0.691 O
0.809 0.619 0.005 O
0.995 0.191 0.381 O
0.737 0.942 0.087 O
0.587 0.442 0.237 O
0.087 0.737 0.942 O
0.237 0.587 0.442 O
0.263 0.058 0.913 O
0.442 0.237 0.587 O
0.942 0.087 0.737 O
0.381 0.995 0.191 O
0.357 0.357 0.357 V
0.143 0.143 0.143 V
0.857 0.857 0.857 V
0.643 0.643 0.643 V
0.000 0.000 0.000 Fe
0.500 0.500 0.500 Fe
```

Entry 5:
The following is a DFT calculation (PBE+U) of crystalline VFe3P4O16 at its relaxed geometry.

## Properties
VASP energy   -7.228 eV/atom
ΔH_f (0 K)   -55.37 kcal/mol of atoms
Theoretical density   3.5 g/cm³

POSCAR file:
```
VFe3P4O16
1.0
5.877 0.000 0.000
0.000 4.881 0.000
0.000 0.002 9.981
O V Fe P
16 1 3 4
Direct
0.704 0.248 0.333 O
0.500 0.709 0.878 O
0.704 0.253 0.831 O
0.204 0.750 0.167 O
0.000 0.653 0.944 O
0.500 0.346 0.054 O
0.296 0.248 0.333 O
0.204 0.753 0.668 O
0.796 0.753 0.668 O
0.000 0.293 0.122 O
0.296 0.253 0.831 O
0.000 0.210 0.621 O
0.796 0.750 0.167 O
0.000 0.847 0.444 O
0.500 0.792 0.380 O
0.500 0.157 0.557 O
0.500 0.533 0.229 V
0.500 0.953 0.726 Fe
0.000 0.044 0.273 Fe
0.000 0.453 0.774 Fe
0.000 0.601 0.095 P
0.000 0.902 0.594 P
0.500 0.401 0.904 P
0.500 0.098 0.407 P
```

Entry 6:
The following is a DFT calculation (PBE+U) of crystalline VFeP4O14 at its relaxed geometry.

## Properties
VASP energy   -7.221 eV/atom
Maximum piezoelectric response   0.361 C/m²
ΔH_f (0 K)   -57.10 kcal/mol of atoms
Theoretical density   2.8 g/cm³

POSCAR file:
```
VFeP4O14
1.0
4.885 0.036 0.156
0.096 16.236 -0.071
-2.071 -0.023 6.677
O V P Fe
28 2 8 2
Direct
0.014 0.168 0.825 O
0.415 0.836 0.632 O
0.986 0.908 0.168 O
0.435 0.820 0.274 O
0.856 0.588 0.079 O
0.986 0.408 0.168 O
0.708 0.434 0.490 O
0.554 0.709 0.899 O
0.172 0.327 0.923 O
0.708 0.934 0.491 O
0.554 0.209 0.899 O
0.860 0.784 0.550 O
0.145 0.033 0.470 O
0.414 0.336 0.632 O
0.856 0.088 0.079 O
0.562 0.594 0.359 O
0.145 0.533 0.470 O
0.014 0.668 0.824 O
0.586 0.574 0.725 O
0.270 0.183 0.530 O
0.271 0.683 0.530 O
0.435 0.320 0.274 O
0.172 0.827 0.923 O
0.860 0.284 0.550 O
0.586 0.074 0.725 O
0.436 0.955 0.081 O
0.562 0.094 0.359 O
0.436 0.455 0.081 O
0.211 0.253 0.727 V
0.212 0.753 0.727 V
0.759 0.136 0.891 P
0.384 0.593 0.505 P
0.384 0.093 0.505 P
0.251 0.884 0.109 P
0.612 0.847 0.494 P
0.759 0.636 0.891 P
0.251 0.384 0.109 P
0.612 0.347 0.494 P
0.785 0.004 0.268 Fe
0.785 0.504 0.267 Fe
```

Entry 7:
The following is a DFT calculation (PBE+U) of crystalline VFe2P3O12 at its relaxed geometry.

## Properties
VASP energy   -7.236 eV/atom
ΔH_f (0 K)   -55.17 kcal/mol of atoms
Theoretical density   3.4 g/cm³

POSCAR file:
```
VFe2P3O12
1.0
-3.370 7.434 -2.148
-8.398 0.803 0.231
-3.399 4.760 6.084
P O Fe V
6 24 4 2
Direct
0.047 0.750 0.453 P
0.750 0.453 0.047 P
0.453 0.047 0.750 P
0.547 0.953 0.250 P
0.953 0.250 0.547 P
0.250 0.547 0.953 P
0.750 0.404 0.562 O
0.250 0.596 0.438 O
0.404 0.562 0.750 O
0.096 0.750 0.938 O
0.676 0.496 0.894 O
0.176 0.394 0.996 O
0.904 0.250 0.062 O
0.504 0.106 0.324 O
0.750 0.938 0.096 O
0.824 0.606 0.004 O
0.106 0.324 0.504 O
0.062 0.904 0.250 O
0.996 0.176 0.394 O
0.394 0.996 0.176 O
0.004 0.824 0.606 O
0.894 0.676 0.496 O
0.496 0.894 0.676 O
0.562 0.750 0.404 O
0.606 0.004 0.824 O
0.250 0.062 0.904 O
0.596 0.438 0.250 O
0.938 0.096 0.750 O
0.438 0.250 0.596 O
0.324 0.504 0.106 O
0.354 0.354 0.354 Fe
0.146 0.146 0.146 Fe
0.854 0.854 0.854 Fe
0.646 0.646 0.646 Fe
0.500 0.500 0.500 V
0.000 0.000 0.000 V
```

Entry 8:
The following is a DFT calculation (PBE+U) of crystalline VFe7P12O48 at its relaxed geometry.

## Properties
VASP energy   -6.865 eV/atom
ΔH_f (0 K)   -49.67 kcal/mol of atoms
Theoretical density   2.8 g/cm³

POSCAR file:
```
VFe7P12O48
1.0
8.747 0.000 0.000
0.002 8.757 0.000
0.003 0.019 12.190
P O Fe V
12 48 7 1
Direct
0.895 0.109 0.855 P
0.751 0.032 0.502 P
0.105 0.892 0.145 P
0.395 0.396 0.643 P
0.605 0.611 0.357 P
0.889 0.607 0.643 P
0.605 0.108 0.145 P
0.250 0.465 0.000 P
0.394 0.890 0.851 P
0.750 0.536 0.002 P
0.253 0.963 0.501 P
0.105 0.392 0.356 P
0.060 0.833 0.031 O
0.151 0.562 0.923 O
0.770 0.654 0.331 O
0.418 0.575 0.649 O
0.562 0.670 0.474 O
0.845 0.642 0.928 O
0.441 0.339 0.531 O
0.498 0.179 0.230 O
0.651 0.438 0.924 O
0.352 0.061 0.425 O
0.359 0.858 0.571 O
0.650 0.926 0.576 O
0.157 0.060 0.580 O
0.229 0.846 0.826 O
0.852 0.938 0.425 O
0.153 0.360 0.074 O
0.501 0.820 0.759 O
0.273 0.849 0.169 O
0.849 0.130 0.579 O
0.729 0.153 0.830 O
0.446 0.826 0.962 O
0.907 0.934 0.850 O
0.006 0.182 0.772 O
0.093 0.567 0.349 O
0.057 0.333 0.470 O
0.897 0.432 0.650 O
0.495 0.685 0.275 O
0.348 0.562 0.077 O
0.226 0.363 0.666 O
0.502 0.327 0.729 O
0.997 0.319 0.272 O
0.411 0.064 0.846 O
0.851 0.438 0.077 O
0.996 0.821 0.229 O
0.941 0.168 0.969 O
0.153 0.858 0.431 O
0.347 0.360 0.927 O
0.094 0.067 0.150 O
0.937 0.664 0.530 O
0.772 0.151 0.169 O
0.650 0.137 0.433 O
0.558 0.168 0.031 O
0.992 0.678 0.730 O
0.592 0.436 0.351 O
0.653 0.637 0.077 O
0.272 0.347 0.331 O
0.594 0.932 0.148 O
0.717 0.655 0.664 O
0.535 0.249 0.879 Fe
0.965 0.748 0.381 Fe
0.037 0.250 0.619 Fe
0.964 0.250 0.120 Fe
0.037 0.751 0.879 Fe
0.464 0.751 0.118 Fe
0.465 0.252 0.382 Fe
0.536 0.747 0.618 V
```